No. 1
## Ba4Cu8P15 (PBE)

Data for a geometry-optimized Ba4Cu8P15 structure.

Cell and atoms, written as POSCAR:
```
Ba4Cu8P15
1.0
0.0000 -10.1688 0.0000
-14.2088 0.0000 0.0000
0.0000 0.0000 -28.2058
Cu P Ba
64 120 32
direct
0.1807 0.4986 0.5930
0.1197 0.8479 0.8273
0.8152 0.8135 0.7494
0.8119 0.9438 0.0322
0.8792 0.6569 0.9222
0.1881 0.9438 0.5322
0.1848 0.1865 0.2506
0.3119 0.5562 0.0322
0.6881 0.4438 0.9678
0.9968 0.0930 0.8571
0.8119 0.0562 0.4678
0.8193 0.4986 0.0930
0.3119 0.4438 0.4678
0.8803 0.8479 0.3273
0.3803 0.3479 0.1727
0.4992 0.8776 0.1893
0.4946 0.2166 0.9544
0.0032 0.0930 0.3571
0.1881 0.0562 0.9678
0.9992 0.3776 0.3107
0.3193 0.0014 0.0930
0.4992 0.1224 0.3107
0.9946 0.7166 0.5456
0.5054 0.7834 0.0456
0.6197 0.3479 0.6727
0.1807 0.5014 0.9070
0.5032 0.4070 0.3571
0.8792 0.3431 0.5778
0.0032 0.9070 0.1429
0.6881 0.5562 0.5322
0.4968 0.5930 0.6429
0.8152 0.1865 0.7506
0.6197 0.6521 0.8273
0.6208 0.8431 0.4222
0.6208 0.1569 0.0778
0.5032 0.5930 0.1429
0.3152 0.6865 0.7494
0.1208 0.3431 0.0778
0.4968 0.4070 0.8571
0.6848 0.6865 0.2494
0.3792 0.8431 0.9222
0.6807 0.0014 0.5930
0.8803 0.1521 0.1727
0.5008 0.8776 0.6893
0.5054 0.2166 0.4544
0.3152 0.3135 0.7506
0.3193 0.9986 0.4070
0.0008 0.6224 0.6893
0.0054 0.7166 0.0456
0.3803 0.6521 0.3273
0.1848 0.8135 0.2494
0.8193 0.5014 0.4070
0.6848 0.3135 0.2506
0.4946 0.7834 0.5456
0.1197 0.1521 0.6727
0.0054 0.2834 0.4544
0.3792 0.1569 0.5778
0.9968 0.9070 0.6429
0.6807 0.9986 0.9070
0.9946 0.2834 0.9544
0.0008 0.3776 0.8107
0.1208 0.6569 0.4222
0.5008 0.1224 0.8107
0.9992 0.6224 0.1893
0.1781 0.8140 0.7481
0.1215 0.6583 0.9230
0.3080 0.1854 0.0006
0.2445 0.7485 0.8755
0.1781 0.1860 0.7519
0.1995 0.4361 0.2821
0.1872 0.9956 0.6578
0.9903 0.8772 0.5613
0.3130 0.4955 0.6575
0.3005 0.0639 0.7821
0.3128 0.4956 0.3422
0.8130 0.9955 0.8425
0.6251 0.6509 0.3276
0.6946 0.4369 0.4701
0.6920 0.8146 0.9994
0.8219 0.1860 0.2519
0.1920 0.3146 0.5006
0.8080 0.6854 0.4994
0.7555 0.2515 0.1245
0.9954 0.5961 0.6072
0.0097 0.1228 0.4387
0.3133 0.1879 0.4998
0.3130 0.5045 0.8425
0.5046 0.0961 0.3928
0.5025 0.2878 0.7977
0.5097 0.3772 0.4387
0.6779 0.0000 0.4045
0.1867 0.6879 0.5002
0.0046 0.5961 0.1072
0.4903 0.6228 0.5613
0.1251 0.1509 0.1724
0.6870 0.4955 0.1575
0.1872 0.0044 0.8422
0.8054 0.9369 0.5299
0.6215 0.8417 0.9230
0.3054 0.4369 0.9701
0.1870 0.9955 0.3425
0.1870 0.0045 0.1575
0.8080 0.3146 0.0006
0.9903 0.1228 0.9387
0.4954 0.9039 0.6072
0.8005 0.5639 0.7179
0.6995 0.0639 0.2821
0.3221 0.0000 0.9045
0.6867 0.1879 0.9998
0.4975 0.7122 0.2023
0.6781 0.3140 0.7519
0.3749 0.6509 0.8276
0.2445 0.2515 0.6245
0.1946 0.9369 0.0299
0.9975 0.7878 0.2023
0.8221 0.5000 0.9045
0.0025 0.2122 0.7977
0.5025 0.7122 0.7023
0.6251 0.3491 0.1724
0.1920 0.6854 0.9994
0.4975 0.2878 0.2977
0.6939 0.9450 0.7215
0.2555 0.2485 0.1245
0.3061 0.0550 0.2785
0.8133 0.3121 0.4998
0.1251 0.8491 0.3276
0.1995 0.5639 0.2179
0.8749 0.8491 0.8276
0.3219 0.6860 0.2481
0.1779 0.5000 0.0955
0.3221 0.0000 0.5955
0.0046 0.4039 0.3928
0.8130 0.0045 0.6575
0.3054 0.5631 0.5299
0.8749 0.1509 0.6724
0.1939 0.4450 0.7785
0.8785 0.3417 0.0770
0.1215 0.3417 0.5770
0.6920 0.1854 0.5006
0.1946 0.0631 0.4701
0.8005 0.4361 0.7821
0.6779 0.0000 0.0955
0.5097 0.6228 0.0613
0.0025 0.7878 0.7023
0.1779 0.5000 0.4045
0.4954 0.0961 0.8928
0.3128 0.5044 0.1578
0.3133 0.8121 0.0002
0.6215 0.1583 0.5770
0.8785 0.6583 0.4230
0.8054 0.0631 0.9701
0.6870 0.5045 0.3425
0.3785 0.1583 0.0770
0.3080 0.8146 0.4994
0.6995 0.9361 0.2179
0.8219 0.8140 0.2481
0.1867 0.3121 0.9998
0.3005 0.9361 0.7179
0.8128 0.0044 0.3422
0.8133 0.6879 0.0002
0.3061 0.9450 0.2215
0.6939 0.0550 0.7785
0.4903 0.3772 0.9387
0.6872 0.5044 0.6578
0.1939 0.5550 0.7215
0.8061 0.5550 0.2215
0.6867 0.8121 0.5002
0.2555 0.7515 0.3755
0.3749 0.3491 0.6724
0.8128 0.9956 0.1578
0.5046 0.9039 0.1072
0.7445 0.2485 0.6245
0.9954 0.4039 0.8928
0.8061 0.4450 0.2785
0.8221 0.5000 0.5955
0.6781 0.6860 0.7481
0.0097 0.8772 0.0613
0.3785 0.8417 0.4230
0.6872 0.4956 0.8422
0.7555 0.7485 0.3755
0.6946 0.5631 0.0299
0.7445 0.7515 0.8755
0.9975 0.2122 0.2977
0.3219 0.3140 0.2519
0.5089 0.1218 0.6850
0.2464 0.2507 0.8761
0.9948 0.0000 0.7500
0.7536 0.2507 0.3761
0.0089 0.3782 0.6850
0.2464 0.7493 0.6239
0.2536 0.2493 0.3761
0.5000 0.0000 0.5000
0.4911 0.8782 0.3150
0.4914 0.3744 0.5589
0.4911 0.1218 0.1850
0.7536 0.7493 0.1239
0.0052 0.0000 0.2500
0.5086 0.3744 0.0589
0.0089 0.6218 0.8150
0.9911 0.6218 0.3150
0.5086 0.6256 0.4411
0.5052 0.5000 0.2500
0.9911 0.3782 0.1850
0.0000 0.5000 0.5000
0.0086 0.1256 0.0589
0.0086 0.8744 0.4411
0.9914 0.8744 0.9411
0.2536 0.7507 0.1239
0.7464 0.7507 0.6239
0.7464 0.2493 0.8761
0.0000 0.5000 0.0000
0.4914 0.6256 0.9411
0.9914 0.1256 0.5589
0.5089 0.8782 0.8150
0.5000 0.0000 0.0000
0.4948 0.5000 0.7500
```

Results
crystal system: orthorhombic
formation enthalpy at 0 K: -0.4786 eV/atom

No. 2
## BeHPt2 (PBE)

Data for a geometry-optimized BeHPt2 structure.

Cell and atoms, written as POSCAR:
```
BeHPt2
1.0
-6.5219 0.0000 -3.7654
-7.2537 0.0760 5.0330
-4.6277 7.5035 0.4846
Pt H Be
2 1 1
direct
0.7757 0.0000 0.0000
0.2243 0.0000 0.0000
0.0000 0.0000 0.0000
0.5000 0.0000 0.0000
```

Results
crystal system: orthorhombic
formation enthalpy at 0 K: 1.8830 eV/atom

No. 3
## Ca5Sn2N6 (PBE)

Data for a geometry-optimized Ca5Sn2N6 structure.

Cell and atoms, written as POSCAR:
```
Ca5Sn2N6
1.0
-2.5010 5.0591 -2.7598
2.5714 -4.2059 -3.4638
-11.9291 -7.2579 -0.0429
N Ca Sn
12 10 4
direct
0.5186 0.2433 0.5559
0.9354 0.9085 0.1359
0.4814 0.7567 0.4441
0.3297 0.6816 0.6751
0.0646 0.9731 0.3641
0.5186 0.2753 0.0559
0.6703 0.3184 0.3249
0.0646 0.0915 0.8641
0.6703 0.3519 0.8249
0.9354 0.0269 0.6359
0.4814 0.7247 0.9441
0.3297 0.6481 0.1751
0.8036 0.1525 0.9704
0.2934 0.2374 0.2158
0.1964 0.8475 0.0296
0.0000 0.6210 0.2500
0.0000 0.3790 0.7500
0.1964 0.3489 0.5296
0.7066 0.9440 0.2842
0.7066 0.7626 0.7842
0.2934 0.0560 0.7158
0.8036 0.6511 0.4704
0.5863 0.9292 0.5869
0.4137 0.3428 0.9131
0.5863 0.6572 0.0869
0.4137 0.0708 0.4131
```

Results
crystal system: monoclinic
energy with MP2020 corrections: -153.81 eV for the cell shown
formation enthalpy at 0 K: -0.6800 eV/atom

No. 4
## Rb2Be2O3 (PBE)

Data for a geometry-optimized Rb2Be2O3 structure.

Cell and atoms, written as POSCAR:
```
Rb2Be2O3
1.0
-1.6901 -1.0796 -7.3074
5.9141 -4.6891 -0.6751
-4.3171 -5.7101 1.8421
Rb Be O
8 8 12
direct
0.4959 0.7462 0.1130
0.5041 0.2538 0.6130
0.2538 0.5041 0.3870
0.2462 0.0041 0.8630
0.0041 0.2462 0.1370
0.7538 0.9959 0.3630
0.9959 0.7538 0.6370
0.7462 0.4959 0.8870
0.7804 0.5325 0.4081
0.2196 0.4675 0.9081
0.7196 0.0325 0.8419
0.9675 0.2804 0.6581
0.0325 0.7196 0.1581
0.5325 0.7804 0.5919
0.4675 0.2196 0.0919
0.2804 0.9675 0.3419
0.1284 0.6333 0.9937
0.1333 0.3716 0.7437
0.3716 0.1333 0.2563
0.8874 0.1126 0.7500
0.6333 0.1284 0.0063
0.8716 0.3667 0.4937
0.6284 0.8667 0.7563
0.6126 0.6126 0.5000
0.3667 0.8716 0.5063
0.8667 0.6284 0.2437
0.1126 0.8874 0.2500
0.3874 0.3874 0.0000
```

Results
crystal system: tetragonal
energy with MP2020 corrections: -162.84 eV for the cell shown
formation enthalpy at 0 K: -2.3465 eV/atom
ΔE to the lowest computed polymorph: 0.031 eV per atom

- Look up the formation enthalpy at 0 K of the third one.
  -0.6800 eV/atom

- Which of these has the highest formation enthalpy at 0 K?
  BeHPt2

Please write out number 2 again, unchanged.
## BeHPt2 (PBE)

Data for a geometry-optimized BeHPt2 structure.

Cell and atoms, written as POSCAR:
```
BeHPt2
1.0
-6.5219 0.0000 -3.7654
-7.2537 0.0760 5.0330
-4.6277 7.5035 0.4846
Pt H Be
2 1 1
direct
0.7757 0.0000 0.0000
0.2243 0.0000 0.0000
0.0000 0.0000 0.0000
0.5000 0.0000 0.0000
```

Results
crystal system: orthorhombic
formation enthalpy at 0 K: 1.8830 eV/atom

- Which value of formation enthalpy at 0 K does entry 4 give?
  -2.3465 eV/atom